(1)
{"formula": "Y6CoBr10", "functional": "r2SCAN", "state": "relaxed", "sg": "P-1 (2)", "e_form_ev_per_atom": -1.7927, "total_magnetization_mub_per_cell": 1.00, "lattice": [[-0.226, -4.045, -6.048], [6.450, -3.632, 5.044], [-8.069, -2.582, 3.389]], "species": ["Y", "Y", "Y", "Y", "Y", "Y", "Co", "Br", "Br", "Br", "Br", "Br", "Br", "Br", "Br", "Br", "Br"], "frac_coords": [[0.469, 0.786, 0.587], [0.531, 0.214, 0.413], [0.376, 0.453, 0.747], [0.624, 0.547, 0.253], [0.861, 0.635, 0.679], [0.139, 0.365, 0.321], [0.500, 0.500, 0.500], [0.413, 0.126, 0.676], [0.587, 0.874, 0.324], [0.049, 0.684, 0.414], [0.951, 0.316, 0.586], [0.288, 0.762, 0.851], [0.712, 0.238, 0.149], [0.242, 0.413, 0.038], [0.758, 0.587, 0.962], [0.854, 0.960, 0.775], [0.146, 0.040, 0.225]]}

(2)
{"formula": "Cs3Cr2Br9", "functional": "r2SCAN", "state": "relaxed", "sg": "P6_3/mmc (194)", "e_form_ev_per_atom": -1.5550, "total_magnetization_mub_per_cell": 12.00, "lattice": [[0.786, 6.649, 3.645], [-2.566, -6.122, 3.749], [17.927, -4.667, 4.647]], "species": ["Cs", "Cs", "Cs", "Cs", "Cs", "Cs", "Cr", "Cr", "Cr", "Cr", "Br", "Br", "Br", "Br", "Br", "Br", "Br", "Br", "Br", "Br", "Br", "Br", "Br", "Br", "Br", "Br", "Br", "Br"], "frac_coords": [[0.667, 0.333, 0.927], [0.333, 0.667, 0.427], [0.667, 0.333, 0.572], [0.333, 0.667, 0.072], [0.000, 0.000, 0.750], [0.000, 0.000, 0.250], [0.333, 0.667, 0.662], [0.667, 0.333, 0.162], [0.667, 0.333, 0.338], [0.333, 0.667, 0.838], [0.823, 0.646, 0.407], [0.177, 0.354, 0.907], [0.177, 0.823, 0.907], [0.177, 0.354, 0.593], [0.646, 0.823, 0.907], [0.354, 0.177, 0.407], [0.032, 0.516, 0.750], [0.823, 0.177, 0.407], [0.516, 0.032, 0.250], [0.484, 0.516, 0.750], [0.516, 0.484, 0.250], [0.968, 0.484, 0.250], [0.354, 0.177, 0.093], [0.484, 0.968, 0.750], [0.823, 0.646, 0.093], [0.177, 0.823, 0.593], [0.646, 0.823, 0.593], [0.823, 0.177, 0.093]]}